Computed, not measured: a geometry-optimized BeP2O6 structure at the PBE level of DFT.

Calculated values
**ΔE to the lowest computed polymorph**: 3 meV per atom
**Volume**: 116 Å³/f.u.
**Formation energy**: -2.777 eV/atom
**Crystal system**: orthorhombic

a = 10.1271 Å, b = 10.2915 Å, c = 8.8917 Å
α = 90.00°, β = 90.00°, γ = 90.00°
Space group C222_1 (No. 20)
Inequivalent atoms, fractional coordinates:
Be (0.2316, 0.0963, 0.2221)
P (0.0000, 0.0906, 0.7500)
P (0.0682, 0.5000, 0.5000)
P (0.1172, 0.2726, 0.9764)
O (0.0060, 0.1887, 0.8904)
O (0.0291, 0.3853, 0.0479)
O (0.1270, 0.0182, 0.7323)
O (0.1408, 0.4681, 0.6413)
O (0.1645, 0.1963, 0.1072)
O (0.2185, 0.3257, 0.8710)

Computed, not measured: a geometry-optimized B6P structure at the PBE level of DFT.

Calculated values
**Volume**: 61 Å³/f.u.
**Formation energy**: -0.290 eV/atom
**Crystal system**: trigonal

a = 5.9931 Å, b = 5.9931 Å, c = 11.8579 Å
α = 90.00°, β = 90.00°, γ = 120.00°
Space group R-3m (No. 166, hexagonal axes)
Inequivalent atoms, fractional coordinates:
B (0.0225, 0.5112, 0.1951)
B (0.1045, 0.2091, 0.3826)
P (0.0000, 0.0000, 0.0949)

Computed, not measured: a geometry-optimized SnF4 structure at the PBE level of DFT.

Calculated values
**Volume**: 68 Å³/f.u.
**Formation energy**: -2.576 eV/atom
**Crystal system**: triclinic

a = 5.0448 Å, b = 5.0458 Å, c = 6.3333 Å
α = 69.13°, β = 66.76°, γ = 89.92°
Space group P1 (No. 1)
Inequivalent atoms, fractional coordinates:
Sn (0.0000, 0.0000, 0.0000)
Sn (0.4973, 0.5004, 0.0010)
F (0.1349, 0.1193, 0.2245)
F (0.1379, 0.6194, 0.2235)
F (0.3408, 0.3590, 0.7831)
F (0.3766, 0.8599, 0.7829)
F (0.6321, 0.1434, 0.2170)
F (0.6482, 0.6446, 0.2158)
F (0.8512, 0.3835, 0.7741)
F (0.8758, 0.8837, 0.7732)

Computed, not measured: a geometry-optimized MnAu2 structure at the PBE level of DFT.

Calculated values
**Volume**: 51 Å³/f.u.
**Formation energy**: -0.111 eV/atom
**Crystal system**: tetragonal

a = 3.3948 Å, b = 3.3948 Å, c = 8.8806 Å
α = 90.00°, β = 90.00°, γ = 90.00°
Space group I4/mmm (No. 139)
Inequivalent atoms, fractional coordinates:
Mn (0.0000, 0.0000, 0.0000)
Au (0.0000, 0.0000, 0.3403)

What did the third record say?
Computed, not measured: a geometry-optimized SnF4 structure at the PBE level of DFT.

Calculated values
**Volume**: 68 Å³/f.u.
**Formation energy**: -2.576 eV/atom
**Crystal system**: triclinic

a = 5.0448 Å, b = 5.0458 Å, c = 6.3333 Å
α = 69.13°, β = 66.76°, γ = 89.92°
Space group P1 (No. 1)
Inequivalent atoms, fractional coordinates:
Sn (0.0000, 0.0000, 0.0000)
Sn (0.4973, 0.5004, 0.0010)
F (0.1349, 0.1193, 0.2245)
F (0.1379, 0.6194, 0.2235)
F (0.3408, 0.3590, 0.7831)
F (0.3766, 0.8599, 0.7829)
F (0.6321, 0.1434, 0.2170)
F (0.6482, 0.6446, 0.2158)
F (0.8512, 0.3835, 0.7741)
F (0.8758, 0.8837, 0.7732)

Among the records above, which one has the highest volume? BeP2O6

formation energy of number 3 (SnF4)? -2.576 eV/atom

volume of number 3 (SnF4)? 68 Å³/f.u.